Compound: Sr3As2O8
Source: the Materials Project
Functional: GGA-PBE
Structure: optimized geometry

```
Sr3As2O8
1.0
10.296 0.000 0.000
0.000 7.357 0.000
0.000 0.131 12.675
Sr As O
12 8 32
direct
0.797 0.093 0.574 Sr
0.703 0.093 0.074 Sr
0.155 0.242 0.645 Sr
0.345 0.242 0.145 Sr
0.538 0.394 0.638 Sr
0.962 0.394 0.138 Sr
0.038 0.606 0.862 Sr
0.462 0.606 0.362 Sr
0.655 0.758 0.855 Sr
0.845 0.758 0.355 Sr
0.297 0.907 0.926 Sr
0.203 0.907 0.426 Sr
0.948 0.105 0.859 As
0.552 0.105 0.359 As
0.386 0.403 0.868 As
0.114 0.403 0.368 As
0.886 0.597 0.632 As
0.614 0.597 0.132 As
0.448 0.895 0.641 As
0.052 0.895 0.141 As
0.798 0.027 0.895 O
0.702 0.027 0.395 O
0.570 0.056 0.624 O
0.930 0.056 0.124 O
0.949 0.146 0.724 O
0.551 0.146 0.224 O
0.383 0.219 0.955 O
0.117 0.219 0.455 O
0.985 0.300 0.927 O
0.335 0.334 0.745 O
0.515 0.300 0.427 O
0.165 0.334 0.245 O
0.780 0.433 0.588 O
0.720 0.433 0.088 O
0.543 0.466 0.846 O
0.957 0.466 0.346 O
0.043 0.534 0.654 O
0.457 0.534 0.154 O
0.280 0.567 0.912 O
0.220 0.567 0.412 O
0.835 0.666 0.755 O
0.485 0.700 0.573 O
0.665 0.666 0.255 O
0.015 0.700 0.073 O
0.883 0.781 0.545 O
0.617 0.781 0.045 O
0.449 0.854 0.776 O
0.051 0.854 0.276 O
0.070 0.944 0.876 O
0.430 0.944 0.376 O
0.298 0.973 0.605 O
0.202 0.973 0.105 O
```

Output
- Calculated total energy: -6.367 eV/atom
- Energy of formation from the pure elements: -2.6379 eV per atom
- Excess energy over the best structure of this formula in the dataset: 63 meV/atom

***

Compound: Sr3As2O8
Source: the Materials Project
Functional: GGA-PBE
Structure: optimized geometry

```
Sr3As2O8
1.0
6.976 -2.838 0.000
6.976 2.838 0.000
5.821 0.000 4.777
Sr As O
3 2 8
direct
0.000 0.000 0.000 Sr
0.205 0.205 0.205 Sr
0.795 0.795 0.795 Sr
0.593 0.593 0.593 As
0.407 0.407 0.407 As
0.766 0.269 0.269 O
0.731 0.234 0.731 O
0.677 0.677 0.677 O
0.323 0.323 0.323 O
0.731 0.731 0.234 O
0.269 0.269 0.766 O
0.269 0.766 0.269 O
0.234 0.731 0.731 O
```

Output
- Calculated total energy: -6.430 eV/atom
- Energy of formation from the pure elements: -2.7013 eV per atom
- Excess energy over the best structure of this formula in the dataset: 0 meV/atom

***

Compound: Sr5As3O13
Source: the Materials Project
Functional: GGA-PBE
Structure: optimized geometry

```
Sr5As3O13
1.0
-2.284 7.811 6.184
-7.040 -7.121 -2.052
2.317 -3.989 5.894
Sr As O
10 6 26
direct
0.333 0.667 0.499 Sr
0.667 0.333 0.999 Sr
0.667 0.333 0.501 Sr
0.333 0.667 0.001 Sr
0.748 0.754 0.252 Sr
0.006 0.252 0.252 Sr
0.246 0.994 0.252 Sr
0.252 0.246 0.752 Sr
0.994 0.748 0.752 Sr
0.754 0.006 0.752 Sr
0.969 0.600 0.252 As
0.631 0.031 0.252 As
0.400 0.369 0.252 As
0.031 0.400 0.752 As
0.369 0.969 0.752 As
0.600 0.631 0.752 As
0.874 0.406 0.249 O
0.532 0.126 0.249 O
0.594 0.468 0.249 O
0.126 0.594 0.749 O
0.468 0.874 0.749 O
0.406 0.532 0.749 O
0.162 0.676 0.251 O
0.514 0.838 0.251 O
0.324 0.486 0.251 O
0.838 0.324 0.751 O
0.486 0.162 0.751 O
0.676 0.514 0.751 O
0.907 0.653 0.437 O
0.746 0.093 0.437 O
0.347 0.254 0.437 O
0.093 0.347 0.937 O
0.254 0.907 0.937 O
0.653 0.746 0.937 O
0.091 0.341 0.569 O
0.251 0.909 0.569 O
0.659 0.749 0.569 O
0.909 0.659 0.069 O
0.749 0.091 0.069 O
0.341 0.251 0.069 O
0.000 0.000 0.278 O
0.000 0.000 0.778 O
```

Output
- Calculated total energy: -6.378 eV/atom
- Energy of formation from the pure elements: -2.6725 eV per atom

***

Compound: SrAsO5
Source: the Materials Project
Functional: GGA-PBE
Structure: optimized geometry

```
SrAsO5
1.0
7.140 0.000 0.000
0.000 9.327 0.000
0.000 0.000 13.158
Sr As O
8 8 40
direct
0.373 0.823 0.926 Sr
0.873 0.677 0.074 Sr
0.627 0.323 0.574 Sr
0.127 0.177 0.426 Sr
0.627 0.177 0.074 Sr
0.127 0.323 0.926 Sr
0.373 0.677 0.426 Sr
0.873 0.823 0.574 Sr
0.363 0.942 0.628 As
0.863 0.558 0.372 As
0.637 0.442 0.872 As
0.137 0.058 0.128 As
0.637 0.058 0.372 As
0.137 0.442 0.628 As
0.363 0.558 0.128 As
0.863 0.942 0.872 As
0.173 0.961 0.550 O
0.673 0.539 0.450 O
0.827 0.461 0.950 O
0.327 0.039 0.050 O
0.827 0.039 0.450 O
0.327 0.461 0.550 O
0.173 0.539 0.050 O
0.673 0.961 0.950 O
0.519 0.832 0.569 O
0.019 0.668 0.431 O
0.481 0.332 0.931 O
0.981 0.168 0.069 O
0.481 0.168 0.431 O
0.981 0.332 0.569 O
0.519 0.668 0.069 O
0.019 0.832 0.931 O
0.457 0.110 0.659 O
0.957 0.390 0.341 O
0.543 0.610 0.841 O
0.043 0.890 0.159 O
0.543 0.890 0.341 O
0.043 0.610 0.659 O
0.457 0.390 0.159 O
0.957 0.110 0.841 O
0.287 0.877 0.745 O
0.787 0.623 0.255 O
0.713 0.377 0.755 O
0.213 0.123 0.245 O
0.713 0.123 0.255 O
0.213 0.377 0.745 O
0.287 0.623 0.245 O
0.787 0.877 0.755 O
0.320 0.086 0.803 O
0.820 0.414 0.197 O
0.680 0.586 0.697 O
0.180 0.914 0.303 O
0.680 0.914 0.197 O
0.180 0.586 0.803 O
0.320 0.414 0.303 O
0.820 0.086 0.697 O
```

Output
- Calculated total energy: -5.602 eV/atom
- Energy of formation from the pure elements: -1.6513 eV per atom

***

Compound: Sr3As2O8
Source: the Materials Project
Functional: GGA-PBE
Structure: optimized geometry

```
Sr3As2O8
1.0
10.209 0.000 0.000
0.000 5.990 0.000
0.000 5.753 8.507
Sr As O
6 4 16
direct
0.000 0.500 0.500 Sr
0.355 0.451 0.633 Sr
0.855 0.549 0.867 Sr
0.500 0.500 0.000 Sr
0.145 0.451 0.133 Sr
0.645 0.549 0.367 Sr
0.308 0.837 0.201 As
0.808 0.163 0.299 As
0.192 0.837 0.701 As
0.692 0.163 0.799 As
0.848 0.290 0.739 O
0.417 0.690 0.356 O
0.648 0.246 0.929 O
0.811 0.822 0.384 O
0.148 0.754 0.571 O
0.348 0.710 0.761 O
0.311 0.178 0.116 O
0.917 0.310 0.144 O
0.083 0.690 0.856 O
0.689 0.822 0.884 O
0.652 0.290 0.239 O
0.852 0.246 0.429 O
0.189 0.178 0.616 O
0.352 0.754 0.071 O
0.583 0.310 0.644 O
0.152 0.710 0.261 O
```

Output
- Calculated total energy: -6.397 eV/atom
- Energy of formation from the pure elements: -2.6686 eV per atom
- Excess energy over the best structure of this formula in the dataset: 33 meV/atom